Entry 1:
The following is a PBE calculation of a geometry-optimized AlCr3B4 structure, from Materials Project.

abc: 2.939 2.943 8.081
angles: 90.00 90.00 90.00
Sites, in units of the cell vectors:
Al1 0.000 0.000 0.000
Cr1 0.500 0.000 0.500
Cr2 0.500 0.500 0.202
Cr3 0.500 0.500 0.798
B1 0.000 0.000 0.277
B2 0.000 0.000 0.723
B3 0.000 0.500 0.392
B4 0.000 0.500 0.608

## Properties
As for the space group: Pmmm (47). The final energy is -63.0 eV per formula unit. For the formation energy from the elements, the calculation gives -446 meV/atom.

Entry 2:
The following is a PBE calculation of a geometry-optimized Ti8O13 structure, from Materials Project.

abc: 6.502 6.502 6.502
angles: 73.64 73.64 73.64
Sites, in units of the cell vectors:
Ti1 0.184 0.623 0.443
Ti2 0.223 0.223 0.223
Ti3 0.377 0.557 0.816
Ti4 0.443 0.184 0.623
Ti5 0.557 0.816 0.377
Ti6 0.623 0.443 0.184
Ti7 0.777 0.777 0.777
Ti8 0.816 0.377 0.557
O1 0.080 0.670 0.758
O2 0.144 0.296 0.540
O3 0.242 0.920 0.330
O4 0.296 0.540 0.144
O5 0.330 0.242 0.920
O6 0.460 0.856 0.704
O7 0.500 0.500 0.500
O8 0.540 0.144 0.296
O9 0.670 0.758 0.080
O10 0.704 0.460 0.856
O11 0.758 0.080 0.670
O12 0.856 0.704 0.460
O13 0.920 0.330 0.242

## Properties
As for the space group: R-3 (148). The final energy is -189.0 eV per formula unit. For the formation energy from the elements, the calculation gives -3353 meV/atom.